Entry 1:
DFT (PBE-GGA) results for K2MnAs2 after structural relaxation.

Computed properties:
V = 33.4 Å³ per atom
Crystal system = tetragonal
Electronic total energy = -17.94 eV/cell
Energy of formation from the pure elements = 0.552 eV/atom

Cell and atoms, written as CIF:
```
data_K2MnAs2
_chemical_formula_sum 'K2 Mn1 As2'
_cell_length_a 3.3207
_cell_length_b 3.3207
_cell_length_c 15.1635
_cell_angle_alpha 90.00
_cell_angle_beta 90.00
_cell_angle_gamma 90.00
_space_group_name_H-M_alt 'P 4/m m m'
_space_group_IT_number 123
_space_group_name_Hall '-P 4 2'
loop_
_atom_site_label
_atom_site_fract_x
_atom_site_fract_y
_atom_site_fract_z
K1 0.0000 0.0000 0.1417
Mn1 0.0000 0.0000 0.5000
As1 0.0000 0.0000 0.3446
```

***

Entry 2:
DFT (PBE-GGA) results for KMnAs after structural relaxation.

Computed properties:
V = 25.4 Å³ per atom
Crystal system = tetragonal
Electronic total energy = -31.35 eV/cell
Energy of formation from the pure elements = -0.248 eV/atom

Cell and atoms, written as CIF:
```
data_KMnAs
_chemical_formula_sum 'K2 Mn2 As2'
_cell_length_a 4.3719
_cell_length_b 4.3719
_cell_length_c 7.9746
_cell_angle_alpha 90.00
_cell_angle_beta 90.00
_cell_angle_gamma 90.00
_space_group_name_H-M_alt 'P 4/n m m'
_space_group_IT_number 129
loop_
_space_group_symop_operation_xyz
'x,y,z'
'-x,-y,-z'
'-y+1/2,x,z'
'y+1/2,-x,-z'
'-x+1/2,-y+1/2,z'
'x+1/2,y+1/2,-z'
'y,-x+1/2,z'
'-y,x+1/2,-z'
'x+1/2,-y,-z'
'-x+1/2,y,z'
'-y,-x,-z'
'y,x,z'
'-x,y+1/2,-z'
'x,-y+1/2,z'
'y+1/2,x+1/2,-z'
'-y+1/2,-x+1/2,z'
loop_
_atom_site_label
_atom_site_fract_x
_atom_site_fract_y
_atom_site_fract_z
K1 0.2500 0.2500 0.1529
Mn1 0.2500 0.7500 0.5000
As1 0.2500 0.2500 0.6707
```

***

Entry 3:
DFT (PBE-GGA) results for K4MnAs2S8 after structural relaxation.

Computed properties:
V = 28.1 Å³ per atom
Crystal system = monoclinic
Electronic total energy = -266.51 eV/cell
Energy of formation from the pure elements = -0.976 eV/atom

Cell and atoms, written as CIF:
```
data_K4MnAs2S8
_chemical_formula_sum 'K16 Mn4 As8 S32'
_cell_length_a 9.3626
_cell_length_b 8.7313
_cell_length_c 21.9106
_cell_angle_alpha 90.00
_cell_angle_beta 109.52
_cell_angle_gamma 90.00
_space_group_name_H-M_alt 'P 1 2/c 1'
_space_group_IT_number 13
_space_group_name_Hall '-P 2yc'
loop_
_atom_site_label
_atom_site_fract_x
_atom_site_fract_y
_atom_site_fract_z
K1 0.0000 0.0917 0.2500
K2 0.0000 0.3808 0.7500
K3 0.2705 0.3841 0.9834
K4 0.2974 0.3951 0.1653
K5 0.4737 0.1138 0.8649
Mn1 0.1266 0.1292 0.4578
As1 0.1153 0.1640 0.6118
As2 0.3245 0.3079 0.3754
S1 0.0845 0.3473 0.3680
S2 0.0951 0.3336 0.5354
S3 0.1100 0.1062 0.8839
S4 0.1762 0.0465 0.0693
S5 0.2717 0.2378 0.7042
S6 0.3477 0.1947 0.2912
S7 0.4025 0.1558 0.4608
S8 0.4532 0.4802 0.8920
```

***

Entry 4:
DFT (PBE-GGA) results for KNaAs6Pb8O24 after structural relaxation.

Computed properties:
V = 17.2 Å³ per atom
Crystal system = trigonal
Electronic total energy = -234.47 eV/cell
Energy of formation from the pure elements = -1.803 eV/atom

Cell and atoms, written as CIF:
```
data_KNaAs6Pb8O24
_chemical_formula_sum 'K1 Na1 As6 Pb8 O24'
_cell_length_a 10.2962
_cell_length_b 10.2962
_cell_length_c 7.5043
_cell_angle_alpha 90.00
_cell_angle_beta 90.00
_cell_angle_gamma 120.00
_space_group_name_H-M_alt 'P 3'
_space_group_IT_number 143
_space_group_name_Hall 'P 3'
loop_
_atom_site_label
_atom_site_fract_x
_atom_site_fract_y
_atom_site_fract_z
K1 0.0000 0.0000 0.0000
Na1 0.6667 0.3333 0.4782
As1 0.3189 0.2753 0.2359
As2 0.3527 0.0602 0.7304
Pb1 0.0000 0.0000 0.5031
Pb2 0.0723 0.6646 0.7350
Pb3 0.0745 0.4075 0.2374
Pb4 0.6667 0.3333 0.0018
O1 0.0267 0.1869 0.7255
O2 0.0744 0.7525 0.4176
O3 0.0760 0.7490 0.0564
O4 0.2363 0.0809 0.2402
O5 0.4198 0.0133 0.9162
O6 0.4229 0.0075 0.5537
O7 0.4367 0.2548 0.7319
O8 0.5118 0.3602 0.2368
```

***

Entry 5:
DFT (PBE-GGA) results for K7NbAs4 after structural relaxation.

Computed properties:
V = 33.7 Å³ per atom
Crystal system = orthorhombic
Electronic total energy = -84.14 eV/cell
Largest piezoelectric modulus = 0.44 C/m2
Energy of formation from the pure elements = -0.463 eV/atom

Cell and atoms, written as CIF:
```
data_K7NbAs4
_chemical_formula_sum 'K14 Nb2 As8'
_cell_length_a 10.3727
_cell_length_b 9.2607
_cell_length_c 8.4165
_cell_angle_alpha 90.00
_cell_angle_beta 90.00
_cell_angle_gamma 90.00
_space_group_name_H-M_alt 'P m n 21'
_space_group_IT_number 31
_space_group_name_Hall 'P 2ac -2'
loop_
_atom_site_label
_atom_site_fract_x
_atom_site_fract_y
_atom_site_fract_z
K1 0.0000 0.0333 0.0000
K2 0.0000 0.3385 0.7850
K3 0.0000 0.8930 0.5136
K4 0.2119 0.5343 0.4954
K5 0.2171 0.1664 0.3322
Nb1 0.0000 0.6734 0.1221
As1 0.0000 0.4097 0.2011
As2 0.0000 0.6821 0.8236
As3 0.2024 0.8068 0.2172
```

***

Entry 6:
DFT (PBE-GGA) results for K3NbAs2O9 after structural relaxation.

Computed properties:
V = 17.0 Å³ per atom
Crystal system = orthorhombic
Electronic total energy = -380.27 eV/cell
Energy of formation from the pure elements = -2.264 eV/atom

Cell and atoms, written as CIF:
```
data_K3NbAs2O9
_chemical_formula_sum 'K12 Nb4 As8 O36'
_cell_length_a 22.9485
_cell_length_b 5.5398
_cell_length_c 8.0233
_cell_angle_alpha 90.00
_cell_angle_beta 90.00
_cell_angle_gamma 90.00
_space_group_name_H-M_alt 'P n m a'
_space_group_IT_number 62
_space_group_name_Hall '-P 2ac 2n'
loop_
_atom_site_label
_atom_site_fract_x
_atom_site_fract_y
_atom_site_fract_z
K1 0.0329 0.2500 0.1219
K2 0.0989 0.7500 0.3478
K3 0.2029 0.2500 0.5210
Nb1 0.1459 0.7500 0.8176
As1 0.0618 0.2500 0.6425
As2 0.2091 0.2500 0.0472
O1 0.0109 0.2500 0.7941
O2 0.0415 0.2500 0.4418
O3 0.0935 0.7500 0.9799
O4 0.1106 0.0041 0.6659
O5 0.1593 0.2500 0.2019
O6 0.2016 0.0032 0.9129
O7 0.2185 0.7500 0.5994
```

***

Entry 7:
DFT (PBE-GGA) results for K8NbAs5Pb after structural relaxation.

Computed properties:
V = 34.4 Å³ per atom
Crystal system = monoclinic
Electronic total energy = -423.48 eV/cell
Energy of formation from the pure elements = -0.463 eV/atom

Cell and atoms, written as CIF:
```
data_K8NbAs5Pb
_chemical_formula_sum 'K64 Nb8 As40 Pb8'
_cell_length_a 32.1031
_cell_length_b 9.4804
_cell_length_c 13.6202
_cell_angle_alpha 90.00
_cell_angle_beta 95.07
_cell_angle_gamma 90.00
_space_group_name_H-M_alt 'C 1 2/c 1'
_space_group_IT_number 15
_space_group_name_Hall '-C 2yc'
loop_
_atom_site_label
_atom_site_fract_x
_atom_site_fract_y
_atom_site_fract_z
K1 0.0196 0.1187 0.3928
K2 0.0402 0.4738 0.1186
K3 0.0636 0.1707 0.7104
K4 0.1146 0.4588 0.8987
K5 0.1495 0.1714 0.4585
K6 0.1765 0.0384 0.7175
K7 0.2239 0.3448 0.8311
K8 0.2340 0.4576 0.5547
Nb1 0.1569 0.3394 0.1822
As1 0.0284 0.2576 0.9218
As2 0.0935 0.2079 0.2377
As3 0.1416 0.4045 0.6496
As4 0.1764 0.2058 0.0280
As5 0.2151 0.3136 0.3143
Pb1 0.0904 0.1151 0.0357
```

***

Entry 8:
DFT (PBE-GGA) results for K8NbSnAs5 after structural relaxation.

Computed properties:
V = 34.2 Å³ per atom
Crystal system = monoclinic
Electronic total energy = -428.26 eV/cell
Energy of formation from the pure elements = -0.483 eV/atom

Cell and atoms, written as CIF:
```
data_K8NbSnAs5
_chemical_formula_sum 'K64 Nb8 Sn8 As40'
_cell_length_a 31.8416
_cell_length_b 9.5192
_cell_length_c 13.5933
_cell_angle_alpha 90.00
_cell_angle_beta 95.15
_cell_angle_gamma 90.00
_space_group_name_H-M_alt 'C 1 2/c 1'
_space_group_IT_number 15
_space_group_name_Hall '-C 2yc'
loop_
_atom_site_label
_atom_site_fract_x
_atom_site_fract_y
_atom_site_fract_z
K1 0.0203 0.1138 0.3952
K2 0.0390 0.4753 0.1201
K3 0.0636 0.1682 0.7068
K4 0.1151 0.4616 0.8975
K5 0.1475 0.1679 0.4573
K6 0.1755 0.0399 0.7166
K7 0.2239 0.3443 0.8315
K8 0.2346 0.4568 0.5546
Nb1 0.1564 0.3399 0.1806
Sn1 0.0908 0.1238 0.0372
As1 0.0307 0.2568 0.9234
As2 0.0924 0.2059 0.2330
As3 0.1411 0.4054 0.6479
As4 0.1748 0.2031 0.0263
As5 0.2148 0.3146 0.3141
```

***

Entry 9:
DFT (PBE-GGA) results for K2NiAs2 after structural relaxation.

Computed properties:
V = 27.1 Å³ per atom
Crystal system = orthorhombic
Electronic total energy = -77.67 eV/cell
Energy of formation from the pure elements = -0.420 eV/atom

Cell and atoms, written as CIF:
```
data_K2NiAs2
_chemical_formula_sum 'K8 Ni4 As8'
_cell_length_a 6.6436
_cell_length_b 14.0692
_cell_length_c 5.7957
_cell_angle_alpha 90.00
_cell_angle_beta 90.00
_cell_angle_gamma 90.00
_space_group_name_H-M_alt 'C m c m'
_space_group_IT_number 63
_space_group_name_Hall '-C 2c 2'
loop_
_atom_site_label
_atom_site_fract_x
_atom_site_fract_y
_atom_site_fract_z
K1 0.0000 0.0891 0.2500
K2 0.0000 0.2922 0.7500
Ni1 0.0000 0.5000 0.0000
As1 0.1846 0.3991 0.2500
```

***

Q: Which of these has the highest energy of formation from the pure elements?
A: K2MnAs2

***

Q: Which value of V does entry 4 give?
A: 17.2 Å³ per atom